No. 1
A plane-wave DFT calculation with GGA-PBE was carried out for a relaxed KTiNbO5 crystal.

Calculated values
Crystal system = orthorhombic

Cell: 6.543 3.822 18.738 Å, 90.00 90.00 90.00°
Fractional positions:
K 0.212 0.250 0.194
K 0.288 0.750 0.694
K 0.712 0.250 0.306
K 0.788 0.750 0.806
Ti 0.183 0.250 0.535
Ti 0.317 0.750 0.035
Ti 0.683 0.250 0.965
Ti 0.817 0.750 0.465
Nb 0.229 0.250 0.890
Nb 0.271 0.750 0.390
Nb 0.729 0.250 0.610
Nb 0.771 0.750 0.110
O 0.033 0.250 0.620
O 0.070 0.750 0.076
O 0.146 0.750 0.510
O 0.167 0.250 0.796
O 0.234 0.750 0.922
O 0.266 0.250 0.422
O 0.333 0.750 0.296
O 0.354 0.250 0.010
O 0.430 0.250 0.576
O 0.467 0.750 0.120
O 0.533 0.250 0.880
O 0.570 0.750 0.424
O 0.646 0.750 0.990
O 0.667 0.250 0.704
O 0.734 0.750 0.578
O 0.766 0.250 0.078
O 0.833 0.750 0.204
O 0.854 0.250 0.490
O 0.930 0.250 0.924
O 0.967 0.750 0.380

=====

No. 2
A plane-wave DFT calculation with GGA-PBE was carried out for a relaxed KUNbO6 crystal.

Calculated values
Crystal system = orthorhombic

Cell: 10.474 7.634 13.634 Å, 90.00 90.00 90.00°
Fractional positions:
K 0.144 0.008 0.059
K 0.144 0.492 0.059
K 0.356 0.508 0.559
K 0.356 0.992 0.559
K 0.644 0.008 0.441
K 0.644 0.492 0.441
K 0.856 0.508 0.941
K 0.856 0.992 0.941
U 0.146 0.250 0.775
U 0.184 0.750 0.798
U 0.316 0.250 0.298
U 0.354 0.750 0.275
U 0.646 0.250 0.725
U 0.684 0.750 0.702
U 0.816 0.250 0.202
U 0.854 0.750 0.225
Nb 0.049 0.000 0.392
Nb 0.049 0.500 0.392
Nb 0.451 0.000 0.892
Nb 0.451 0.500 0.892
Nb 0.549 0.000 0.108
Nb 0.549 0.500 0.108
Nb 0.951 0.000 0.608
Nb 0.951 0.500 0.608
O 0.019 0.750 0.355
O 0.046 0.250 0.888
O 0.060 0.534 0.731
O 0.060 0.966 0.731
O 0.088 0.750 0.913
O 0.107 0.250 0.383
O 0.107 0.551 0.527
O 0.107 0.949 0.527
O 0.217 0.250 0.187
O 0.233 0.531 0.342
O 0.233 0.969 0.342
O 0.247 0.750 0.168
O 0.253 0.250 0.668
O 0.267 0.031 0.842
O 0.267 0.469 0.842
O 0.283 0.750 0.687
O 0.393 0.051 0.027
O 0.393 0.449 0.027
O 0.393 0.750 0.883
O 0.412 0.250 0.413
O 0.440 0.034 0.231
O 0.440 0.466 0.231
O 0.454 0.750 0.388
O 0.481 0.250 0.855
O 0.519 0.750 0.145
O 0.546 0.250 0.612
O 0.560 0.534 0.769
O 0.560 0.966 0.769
O 0.588 0.750 0.587
O 0.607 0.250 0.117
O 0.607 0.551 0.973
O 0.607 0.949 0.973
O 0.717 0.250 0.313
O 0.733 0.531 0.158
O 0.733 0.969 0.158
O 0.747 0.750 0.332
O 0.753 0.250 0.832
O 0.767 0.031 0.658
O 0.767 0.469 0.658
O 0.783 0.750 0.813
O 0.893 0.051 0.473
O 0.893 0.449 0.473
O 0.893 0.750 0.617
O 0.912 0.250 0.087
O 0.940 0.034 0.269
O 0.940 0.466 0.269
O 0.954 0.750 0.112
O 0.981 0.250 0.645

=====

No. 3
A plane-wave DFT calculation with GGA-PBE was carried out for a relaxed KNb2PS10 crystal.

Calculated values
Crystal system = orthorhombic

Cell: 13.125 7.883 13.945 Å, 90.00 90.00 90.00°
Fractional positions:
K 0.118 0.002 0.000
K 0.382 0.002 0.500
K 0.618 0.998 0.000
K 0.882 0.998 0.500
Nb 0.024 0.551 0.235
Nb 0.186 0.569 0.736
Nb 0.314 0.569 0.236
Nb 0.476 0.551 0.735
Nb 0.524 0.449 0.235
Nb 0.686 0.431 0.736
Nb 0.814 0.431 0.236
Nb 0.976 0.449 0.735
P 0.160 0.889 0.308
P 0.340 0.889 0.808
P 0.660 0.111 0.308
P 0.840 0.111 0.808
S 0.033 0.880 0.221
S 0.052 0.628 0.866
S 0.056 0.644 0.612
S 0.102 0.399 0.604
S 0.109 0.387 0.863
S 0.151 0.070 0.407
S 0.166 0.640 0.361
S 0.169 0.550 0.111
S 0.174 0.347 0.202
S 0.207 0.897 0.729
S 0.293 0.897 0.229
S 0.326 0.347 0.702
S 0.331 0.550 0.611
S 0.334 0.640 0.861
S 0.349 0.070 0.907
S 0.391 0.387 0.363
S 0.398 0.399 0.104
S 0.444 0.644 0.112
S 0.448 0.628 0.366
S 0.467 0.880 0.721
S 0.533 0.120 0.221
S 0.552 0.372 0.866
S 0.556 0.356 0.612
S 0.602 0.601 0.604
S 0.609 0.613 0.863
S 0.651 0.930 0.407
S 0.666 0.360 0.361
S 0.669 0.450 0.111
S 0.674 0.653 0.202
S 0.707 0.103 0.729
S 0.793 0.103 0.229
S 0.826 0.653 0.702
S 0.831 0.450 0.611
S 0.834 0.360 0.861
S 0.849 0.930 0.907
S 0.891 0.613 0.363
S 0.898 0.601 0.104
S 0.944 0.356 0.112
S 0.948 0.372 0.366
S 0.967 0.120 0.721

=====

No. 4
A plane-wave DFT calculation with GGA-PBE was carried out for a relaxed KNb2PSe10 crystal.

Calculated values
Crystal system = monoclinic

Cell: 7.545 16.091 13.780 Å, 90.00 106.60 90.00°
Fractional positions:
K 0.000 0.245 0.000
K 0.000 0.755 0.500
K 0.027 0.254 0.528
K 0.027 0.746 0.028
Nb 0.443 0.036 0.280
Nb 0.443 0.964 0.780
Nb 0.449 0.023 0.988
Nb 0.449 0.977 0.488
Nb 0.462 0.474 0.772
Nb 0.462 0.526 0.272
Nb 0.468 0.465 0.479
Nb 0.468 0.535 0.979
P 0.593 0.202 0.149
P 0.593 0.798 0.649
P 0.612 0.297 0.660
P 0.612 0.703 0.160
Se 0.179 0.057 0.823
Se 0.179 0.943 0.323
Se 0.192 0.030 0.094
Se 0.192 0.970 0.594
Se 0.195 0.081 0.374
Se 0.195 0.919 0.874
Se 0.201 0.441 0.859
Se 0.201 0.559 0.359
Se 0.210 0.469 0.587
Se 0.210 0.531 0.087
Se 0.212 0.421 0.310
Se 0.212 0.579 0.810
Se 0.395 0.203 0.244
Se 0.395 0.797 0.744
Se 0.400 0.083 0.634
Se 0.400 0.917 0.134
Se 0.410 0.306 0.751
Se 0.410 0.694 0.251
Se 0.420 0.418 0.113
Se 0.420 0.582 0.613
Se 0.445 0.196 0.983
Se 0.445 0.804 0.483
Se 0.472 0.291 0.492
Se 0.472 0.709 0.992
Se 0.695 0.083 0.454
Se 0.695 0.917 0.954
Se 0.699 0.070 0.173
Se 0.699 0.930 0.673
Se 0.714 0.053 0.897
Se 0.714 0.947 0.397
Se 0.718 0.430 0.668
Se 0.718 0.433 0.946
Se 0.718 0.567 0.446
Se 0.718 0.570 0.168
Se 0.730 0.432 0.384
Se 0.730 0.568 0.884
Se 0.800 0.300 0.188
Se 0.800 0.700 0.688
Se 0.818 0.200 0.714
Se 0.818 0.800 0.214

=====

In the order shown, the computed mass density values come out to 3.7; 5.7; 2.7; 4.3 g cm⁻³.
In the order shown, the computed energy of formation values come out to -3110; -3227; -1075; -908 meV per atom.